(1)
The following is a PBE calculation of a geometry-optimized Ba3Na2Sb4 structure, from the Materials Project database.

Lattice parameters (Å, degrees): 9.255 8.295 19.688 90.00 118.01 90.00
Fractional coordinates of all 36 atoms:
Ba (0.095, 0.011, 0.404)
Ba (0.095, 0.489, 0.904)
Ba (0.216, 0.511, 0.403)
Ba (0.216, 0.989, 0.903)
Ba (0.311, 0.173, 0.130)
Ba (0.311, 0.327, 0.630)
Ba (0.689, 0.673, 0.370)
Ba (0.689, 0.827, 0.870)
Ba (0.784, 0.011, 0.097)
Ba (0.784, 0.489, 0.597)
Ba (0.905, 0.511, 0.096)
Ba (0.905, 0.989, 0.596)
Na (0.234, 0.651, 0.751)
Na (0.234, 0.849, 0.251)
Na (0.452, 0.672, 0.127)
Na (0.452, 0.828, 0.627)
Na (0.548, 0.172, 0.373)
Na (0.548, 0.328, 0.873)
Na (0.766, 0.151, 0.749)
Na (0.766, 0.349, 0.249)
Sb (0.071, 0.658, 0.537)
Sb (0.071, 0.842, 0.037)
Sb (0.116, 0.225, 0.249)
Sb (0.116, 0.275, 0.749)
Sb (0.333, 0.021, 0.751)
Sb (0.333, 0.479, 0.251)
Sb (0.497, 0.653, 0.964)
Sb (0.497, 0.847, 0.464)
Sb (0.503, 0.153, 0.536)
Sb (0.503, 0.347, 0.036)
Sb (0.667, 0.521, 0.749)
Sb (0.667, 0.979, 0.249)
Sb (0.884, 0.725, 0.251)
Sb (0.884, 0.775, 0.751)
Sb (0.929, 0.158, 0.963)
Sb (0.929, 0.342, 0.463)

Computed properties:
**Raw total energy**: -3.58 eV per atom
**ΔH_f (0 K)**: -0.8930 eV/atom
**Crystal system**: monoclinic

---

(2)
The following is a PBE calculation of a geometry-optimized MgTe2Mo2W2Se4S2 structure, from the Materials Project database.

Lattice parameters (Å, degrees): 3.343 3.343 45.732 90.00 90.00 120.00
Fractional coordinates of all 13 atoms:
Mg (0.000, 0.000, 0.000)
Te (0.667, 0.333, 0.690)
Te (0.667, 0.333, 0.773)
Mo (0.333, 0.667, 0.732)
Mo (0.667, 0.333, 0.914)
W (0.333, 0.667, 0.117)
W (0.667, 0.333, 0.296)
Se (0.333, 0.667, 0.260)
Se (0.333, 0.667, 0.333)
Se (0.667, 0.333, 0.081)
Se (0.667, 0.333, 0.154)
S (0.333, 0.667, 0.881)
S (0.333, 0.667, 0.948)

Computed properties:
**Raw total energy**: -6.43 eV per atom
**Size of the total moment**: 0.0 μB/f.u.
**ΔH_f (0 K)**: -0.5278 eV/atom
**Energy relative to the lowest polymorph listed for this composition**: 0.239 eV/f.u.
**Crystal system**: trigonal

---

(3)
The following is a PBE calculation of a geometry-optimized YInPd structure, from the Materials Project database.

Lattice parameters (Å, degrees): 7.819 7.819 3.772 90.00 90.00 120.00
Fractional coordinates of all 9 atoms:
Y (0.000, 0.591, 0.000)
Y (0.409, 0.409, 0.000)
Y (0.591, 0.000, 0.000)
In (0.000, 0.261, 0.500)
In (0.261, 0.000, 0.500)
In (0.739, 0.739, 0.500)
Pd (0.000, 0.000, 0.000)
Pd (0.333, 0.667, 0.500)
Pd (0.667, 0.333, 0.500)

Computed properties:
**Raw total energy**: -5.62 eV per atom
**ΔH_f (0 K)**: -0.8224 eV/atom
**Crystal system**: hexagonal